## Ba2PrMgCu4O8 (PBE-GGA)

Data for an optimized crystal structure of Ba2PrMgCu4O8.

Unit cell a=3.774 b=4.047 c=15.023 alpha=96.87 beta=90.00 gamma=90.00
Sites, in units of the cell vectors:
Ba  0.500  0.385  0.749
Ba  0.500  0.615  0.251
Pr  0.500  0.500  0.000
Mg  0.500  0.500  0.500
Cu  0.000  0.947  0.884
Cu  0.000  0.053  0.116
Cu  0.000  0.839  0.588
Cu  0.000  0.161  0.412
O  0.000  0.292  0.551
O  0.000  0.708  0.449
O  0.000  0.450  0.892
O  0.000  0.550  0.108
O  0.500  0.953  0.897
O  0.500  0.047  0.103
O  0.000  0.872  0.712
O  0.000  0.128  0.288

Properties
Size of the total moment in μB/f.u.: 0.000
Energy with MP2020 corrections in eV/cell: -97.55
Space-group type: No. 10
Calculated density in g cm⁻³: 5.99
Formation enthalpy at 0 K in meV per atom: -1959
E_tot in eV/cell: -92.05

---

## Ba2PrMgCu3O7 (PBE-GGA)

Data for an optimized crystal structure of Ba2PrMgCu3O7.

Unit cell a=4.015 b=3.754 c=14.125 alpha=90.00 beta=90.00 gamma=90.00
Sites, in units of the cell vectors:
Ba  0.500  0.500  0.792
Ba  0.500  0.500  0.258
Pr  0.500  0.500  0.520
Mg  0.000  0.500  0.071
Cu  0.000  0.000  0.645
Cu  0.000  0.000  0.396
Cu  0.000  0.000  0.938
O  0.500  0.000  0.971
O  0.000  0.500  0.613
O  0.000  0.500  0.389
O  0.500  0.000  0.629
O  0.500  0.000  0.397
O  0.000  0.000  0.802
O  0.000  0.000  0.151

Properties
Size of the total moment in μB/f.u.: 0.261
Energy with MP2020 corrections in eV/cell: -84.98
Space-group type: No. 25
Calculated density in g cm⁻³: 5.79
Formation enthalpy at 0 K in meV per atom: -1988
E_tot in eV/cell: -80.17

---

## Ba2Pr4MgCu2O10 (PBE-GGA)

Data for an optimized crystal structure of Ba2Pr4MgCu2O10.

Unit cell a=6.143 b=6.934 c=6.934 alpha=92.97 beta=90.00 gamma=90.00
Sites, in units of the cell vectors:
Ba  0.000  0.453  0.546
Ba  0.000  0.046  0.953
Pr  0.500  0.839  0.339
Pr  0.500  0.680  0.823
Pr  0.500  0.323  0.180
Pr  0.500  0.173  0.673
Mg  0.000  0.771  0.271
Cu  0.000  0.495  0.995
Cu  0.000  0.016  0.516
O  0.248  0.653  0.153
O  0.250  0.356  0.856
O  0.250  0.135  0.353
O  0.250  0.853  0.635
O  0.752  0.653  0.153
O  0.750  0.853  0.635
O  0.750  0.135  0.353
O  0.750  0.356  0.856
O  0.500  0.004  0.992
O  0.500  0.492  0.504

Properties
Size of the total moment in μB/f.u.: 0.000
Energy with MP2020 corrections in eV/cell: -133.03
Space-group type: No. 38
Calculated density in g cm⁻³: 6.47
Formation enthalpy at 0 K in meV per atom: -2673
E_tot in eV/cell: -126.16

---

Number 1: distance to the lowest polymorph of the same formula 0.0191 eV/atom. Number 2: distance to the lowest polymorph of the same formula 0.0524 eV/atom. Number 3: distance to the lowest polymorph of the same formula 0.0000 eV/atom.